Here is an optimized crystal structure of Yb3Cu4Si4 from the Materials Project. Energies are from r2SCAN.

Unit cell a=7.7146 b=7.7146 c=7.7146 alpha=149.53 beta=130.52 gamma=59.23
Last column: nearest neighbours and their distance in Å.
Positions (direct):
1 Yb 0.0000 0.0000 0.0000  6 Si 2.87-2.90
2 Yb 0.3707 0.8707 0.5000  6 Cu 2.89-2.97, 6 Si 2.90-2.92
3 Yb 0.6293 0.1293 0.5000  6 Cu 2.89-2.97, 6 Si 2.90-2.92
4 Cu 0.0221 0.3305 0.6916  4 Si 2.41-2.51, 1 Cu 2.47
5 Cu 0.3612 0.6695 0.6916  4 Si 2.41-2.51, 1 Cu 2.47
6 Cu 0.6388 0.3305 0.3084  4 Si 2.41-2.51, 1 Cu 2.47
7 Cu 0.9779 0.6695 0.3084  4 Si 2.41-2.51, 1 Cu 2.47
8 Si 0.2163 0.2163 0.0000  6 Cu 2.46-2.51
9 Si 0.3145 0.5000 0.8145  1 Si 2.40, 2 Cu 2.41
10 Si 0.6855 0.5000 0.1855  1 Si 2.40, 2 Cu 2.41
11 Si 0.7837 0.7837 0.0000  6 Cu 2.46-2.51

energy of formation: -0.6860 eV/atom
mass density: 8.375 Mg/m³
spin magnetization: 0.0 Bohr magnetons per cell
symmetry: No. 71


Here is an optimized crystal structure of YbCu2Si2 from the Materials Project. Energies are from r2SCAN.

Unit cell a=5.6878 b=5.6878 c=5.6878 alpha=139.94 beta=139.94 gamma=57.95
Last column: nearest neighbours and their distance in Å.
Positions (direct):
1 Yb 0.0000 0.0000 0.0000  8 Si 2.99, 8 Cu 3.16
2 Cu 0.2500 0.7500 0.5000  4 Si 2.36
3 Cu 0.7500 0.2500 0.5000  4 Si 2.36
4 Si 0.3837 0.3837 0.0000  1 Si 2.32, 4 Cu 2.36
5 Si 0.6163 0.6163 0.0000  1 Si 2.32, 4 Cu 2.36

energy of formation: -0.6026 eV/atom
mass density: 7.832 Mg/m³
spin magnetization: 0.0 Bohr magnetons per cell
symmetry: No. 139


Here is an optimized crystal structure of YbCuSi from the Materials Project. Energies are from r2SCAN.

Unit cell a=4.0797 b=4.0797 c=7.2859 alpha=90.00 beta=90.00 gamma=120.00
Last column: nearest neighbours and their distance in Å.
Positions (direct):
1 Yb 0.0000 0.0000 0.0000  6 Cu 2.98, 6 Si 2.98
2 Yb 0.0000 0.0000 0.5000  6 Cu 2.98, 6 Si 2.98
3 Cu 0.3333 0.6667 0.2500  3 Si 2.36
4 Cu 0.6667 0.3333 0.7500  3 Si 2.36
5 Si 0.3333 0.6667 0.7500  3 Cu 2.36
6 Si 0.6667 0.3333 0.2500  3 Cu 2.36

energy of formation: -0.7285 eV/atom
mass density: 8.370 Mg/m³
spin magnetization: 0.0 Bohr magnetons per cell
symmetry: No. 194


Here is an optimized crystal structure of YbZnCuSi2 from the Materials Project. Energies are from r2SCAN.

Unit cell a=5.7783 b=5.7783 c=5.7783 alpha=140.04 beta=140.04 gamma=57.80
Last column: nearest neighbours and their distance in Å.
Positions (direct):
1 Yb 0.0000 0.0000 0.0000  8 Si 3.02, 4 Cu 3.21, 4 Zn 3.21
2 Zn 0.2500 0.7500 0.5000  4 Si 2.41
3 Cu 0.7500 0.2500 0.5000  4 Si 2.41
4 Si 0.3868 0.3868 0.0000  1 Si 2.29, 2 Cu 2.41, 2 Zn 2.41
5 Si 0.6132 0.6132 0.0000  1 Si 2.29, 2 Cu 2.41, 2 Zn 2.41

energy of formation: -0.4499 eV/atom
mass density: 7.539 Mg/m³
spin magnetization: 0.0 Bohr magnetons per cell
symmetry: No. 119


Here is an optimized crystal structure of ZrCuSi from the Materials Project. Energies are from r2SCAN.

Unit cell a=6.5122 b=3.9239 c=7.2455 alpha=90.00 beta=90.00 gamma=90.00
Last column: nearest neighbours and their distance in Å.
Positions (direct):
1 Zr 0.0078 0.2500 0.1953  5 Si 2.78-2.82, 6 Cu 2.82-2.98
2 Zr 0.4922 0.7500 0.6953  5 Si 2.78-2.82, 6 Cu 2.82-2.98
3 Zr 0.5078 0.2500 0.3047  5 Si 2.78-2.82, 6 Cu 2.82-2.98
4 Zr 0.9922 0.7500 0.8047  5 Si 2.78-2.82, 6 Cu 2.82-2.98
5 Cu 0.1732 0.2500 0.5775  4 Si 2.36-2.56
6 Cu 0.3268 0.7500 0.0775  4 Si 2.36-2.56
7 Cu 0.6732 0.2500 0.9225  4 Si 2.36-2.56
8 Cu 0.8268 0.7500 0.4225  4 Si 2.36-2.56
9 Si 0.2189 0.7500 0.4013  4 Cu 2.36-2.56
10 Si 0.2811 0.2500 0.9013  4 Cu 2.36-2.56
11 Si 0.7189 0.7500 0.0987  4 Cu 2.36-2.56
12 Si 0.7811 0.2500 0.5987  4 Cu 2.36-2.56

energy of formation: -0.7111 eV/atom
mass density: 6.560 Mg/m³
spin magnetization: 0.0 Bohr magnetons per cell
symmetry: No. 62


Here is an optimized crystal structure of Zr3Cu4Si2 from the Materials Project. Energies are from r2SCAN.

Unit cell a=6.3360 b=6.3360 c=3.9880 alpha=90.00 beta=90.00 gamma=120.00
Last column: nearest neighbours and their distance in Å.
Positions (direct):
1 Zr 0.0000 0.5895 0.0000  1 Cu 2.60, 4 Si 2.76
2 Zr 0.4105 0.4105 0.0000  1 Cu 2.60, 4 Si 2.76
3 Zr 0.5895 0.0000 0.0000  1 Cu 2.60, 4 Si 2.76
4 Cu 0.0000 0.0000 0.0000  6 Cu 2.53, 3 Zr 2.60
5 Cu 0.0000 0.2462 0.5000  2 Si 2.44, 4 Cu 2.53-2.70
6 Cu 0.2462 0.0000 0.5000  2 Si 2.44, 4 Cu 2.53-2.70
7 Cu 0.7538 0.7538 0.5000  2 Si 2.44, 4 Cu 2.53-2.70
8 Si 0.3333 0.6667 0.5000  3 Cu 2.44
9 Si 0.6667 0.3333 0.5000  3 Cu 2.44

energy of formation: -0.5635 eV/atom
mass density: 6.995 Mg/m³
spin magnetization: 0.0 Bohr magnetons per cell
symmetry: No. 189


Here is an optimized crystal structure of Zr3Cu4Si6 from the Materials Project. Energies are from r2SCAN.

Unit cell a=3.7129 b=3.7129 c=14.3110 alpha=97.45 beta=97.45 gamma=89.99
Last column: nearest neighbours and their distance in Å.
Positions (direct):
1 Zr 0.0000 0.0000 0.0000  8 Si 2.86-2.87, 8 Cu 3.14-3.15
2 Zr 0.3249 0.3249 0.6509  8 Si 2.75-2.82, 4 Cu 3.01-3.02
3 Zr 0.6751 0.6751 0.3491  8 Si 2.75-2.82, 4 Cu 3.01-3.02
4 Cu 0.0921 0.5920 0.1804  4 Si 2.31-2.42
5 Cu 0.4080 0.9079 0.8196  4 Si 2.31-2.42
6 Cu 0.5920 0.0921 0.1804  4 Si 2.31-2.42
7 Cu 0.9079 0.4080 0.8196  4 Si 2.31-2.42
8 Si 0.1459 0.1459 0.2903  4 Cu 2.41-2.42
9 Si 0.2500 0.7500 0.5000  4 Si 2.63, 4 Zr 2.82
10 Si 0.4579 0.4579 0.9178  1 Si 2.31, 4 Cu 2.31-2.32
11 Si 0.5421 0.5421 0.0822  1 Si 2.31, 4 Cu 2.31-2.32
12 Si 0.7500 0.2500 0.5000  4 Si 2.63, 4 Zr 2.82
13 Si 0.8541 0.8541 0.7097  4 Cu 2.41-2.42

energy of formation: -0.5379 eV/atom
mass density: 5.962 Mg/m³
spin magnetization: 0.0 Bohr magnetons per cell
symmetry: No. 12


Here is an optimized crystal structure of SmCu2 from the Materials Project. Energies are from r2SCAN.

Unit cell a=5.4890 b=5.4890 c=5.4890 alpha=133.61 beta=101.73 gamma=96.14
Last column: nearest neighbours and their distance in Å.
Positions (direct):
1 Sm 0.2895 0.0395 0.2500  12 Cu 2.97-3.14
2 Sm 0.7105 0.9605 0.7500  12 Cu 2.97-3.14
3 Cu 0.1149 0.6658 0.4491  4 Cu 2.49-2.76
4 Cu 0.2833 0.3342 0.9491  4 Cu 2.49-2.76
5 Cu 0.7167 0.6658 0.0509  4 Cu 2.49-2.76
6 Cu 0.8851 0.3342 0.5509  4 Cu 2.49-2.76

energy of formation: -0.2240 eV/atom
mass density: 8.386 Mg/m³
spin magnetization: 0.0 Bohr magnetons per cell
symmetry: No. 74


Here is an optimized crystal structure of SmCu5 from the Materials Project. Energies are from r2SCAN.

Unit cell a=5.0307 b=5.0307 c=4.0620 alpha=90.00 beta=90.00 gamma=120.00
Last column: nearest neighbours and their distance in Å.
Positions (direct):
1 Sm 0.0000 0.0000 0.0000  18 Cu 2.90-3.23
2 Cu 0.0000 0.5000 0.5000  8 Cu 2.50-2.52
3 Cu 0.3333 0.6667 0.0000  6 Cu 2.50
4 Cu 0.5000 0.0000 0.5000  8 Cu 2.50-2.52
5 Cu 0.5000 0.5000 0.5000  8 Cu 2.50-2.52
6 Cu 0.6667 0.3333 0.0000  6 Cu 2.50

energy of formation: -0.1805 eV/atom
mass density: 8.731 Mg/m³
spin magnetization: 0.0 Bohr magnetons per cell
symmetry: No. 191


Here is an optimized crystal structure of SmCu6 from the Materials Project. Energies are from r2SCAN.

Unit cell a=7.9544 b=5.0231 c=9.9856 alpha=90.00 beta=90.00 gamma=90.00
Last column: nearest neighbours and their distance in Å.
Positions (direct):
1 Sm 0.2398 0.2500 0.0639  13 Cu 2.86-3.18
2 Sm 0.2602 0.7500 0.5639  13 Cu 2.86-3.18
3 Sm 0.7398 0.2500 0.4361  13 Cu 2.86-3.18
4 Sm 0.7602 0.7500 0.9361  13 Cu 2.86-3.18
5 Cu 0.0641 0.7500 0.0960  5 Cu 2.45-2.58
6 Cu 0.0661 0.0049 0.3091  9 Cu 2.42-2.67
7 Cu 0.0661 0.4951 0.3091  9 Cu 2.42-2.67
8 Cu 0.0989 0.2500 0.5164  6 Cu 2.42-2.58
9 Cu 0.1468 0.7500 0.8562  8 Cu 2.48-2.72
10 Cu 0.1814 0.2500 0.7553  9 Cu 2.44-2.72
11 Cu 0.3186 0.7500 0.2553  9 Cu 2.44-2.72
12 Cu 0.3532 0.2500 0.3562  8 Cu 2.48-2.72
13 Cu 0.4011 0.7500 0.0164  6 Cu 2.42-2.58
14 Cu 0.4339 0.5049 0.8091  9 Cu 2.42-2.67
15 Cu 0.4339 0.9951 0.8091  9 Cu 2.42-2.67
16 Cu 0.4359 0.2500 0.5960  5 Cu 2.45-2.58
17 Cu 0.5641 0.7500 0.4040  5 Cu 2.45-2.58
18 Cu 0.5661 0.0049 0.1909  9 Cu 2.42-2.67
19 Cu 0.5661 0.4951 0.1909  9 Cu 2.42-2.67
20 Cu 0.5989 0.2500 0.9836  6 Cu 2.42-2.58
21 Cu 0.6468 0.7500 0.6438  8 Cu 2.48-2.72
22 Cu 0.6814 0.2500 0.7447  9 Cu 2.44-2.72
23 Cu 0.8186 0.7500 0.2447  9 Cu 2.44-2.72
24 Cu 0.8532 0.2500 0.1438  8 Cu 2.48-2.72
25 Cu 0.9011 0.7500 0.4836  6 Cu 2.42-2.58
26 Cu 0.9339 0.5049 0.6909  9 Cu 2.42-2.67
27 Cu 0.9339 0.9951 0.6909  9 Cu 2.42-2.67
28 Cu 0.9359 0.2500 0.9040  5 Cu 2.45-2.58

energy of formation: -0.1422 eV/atom
mass density: 8.851 Mg/m³
spin magnetization: 0.0 Bohr magnetons per cell
symmetry: No. 62


Here is an optimized crystal structure of SmCu from the Materials Project. Energies are from r2SCAN.

Unit cell a=7.3129 b=4.5313 c=5.4129 alpha=90.00 beta=90.00 gamma=90.00
Last column: nearest neighbours and their distance in Å.
Positions (direct):
1 Sm 0.1804 0.2500 0.1202  7 Cu 2.88-3.10
2 Sm 0.3196 0.7500 0.6202  7 Cu 2.88-3.10
3 Sm 0.6804 0.2500 0.3798  7 Cu 2.88-3.10
4 Sm 0.8196 0.7500 0.8798  7 Cu 2.88-3.10
5 Cu 0.0335 0.2500 0.6149  2 Cu 2.63, 3 Sm 2.88-2.94
6 Cu 0.4665 0.7500 0.1149  2 Cu 2.63, 3 Sm 2.88-2.94
7 Cu 0.5335 0.2500 0.8851  2 Cu 2.63, 3 Sm 2.88-2.94
8 Cu 0.9665 0.7500 0.3851  2 Cu 2.63, 3 Sm 2.88-2.94

energy of formation: -0.2158 eV/atom
mass density: 7.921 Mg/m³
spin magnetization: 0.0 Bohr magnetons per cell
symmetry: No. 62


Here is an optimized crystal structure of SmCu from the Materials Project. Energies are from r2SCAN.

Unit cell a=3.5216 b=3.5216 c=3.5216 alpha=90.00 beta=90.00 gamma=90.00
Last column: nearest neighbours and their distance in Å.
Positions (direct):
1 Sm 0.0000 0.0000 0.0000  8 Cu 3.05
2 Cu 0.5000 0.5000 0.5000  8 Sm 3.05

energy of formation: -0.1845 eV/atom
mass density: 8.133 Mg/m³
spin magnetization: 0.0 Bohr magnetons per cell
symmetry: No. 221